Record 1
## K2Cd3SnAs4 (GGA-PBE)

Data for K2Cd3SnAs4 after structural relaxation.

a = 9.4624 Å, b = 9.4624 Å, c = 7.8169 Å
α = 114.12°, β = 114.12°, γ = 27.47°
Last column: nearest neighbours and their distance in Å.
Element x y z (fractional)
1 K 0.0000 0.0000 0.0000  6 As 3.31-3.54
2 K 0.5024 0.5024 0.5048  6 As 3.38-3.59
3 Cd 0.3239 0.3239 0.0063  3 As 2.67-2.73
4 Cd 0.7021 0.7021 0.0250  4 As 2.76-2.88
5 Cd 0.8295 0.8295 0.4822  3 As 2.63-2.71
6 Sn 0.1942 0.1942 0.5396  4 As 2.69-2.77
7 As 0.1391 0.1391 0.8082  1 Sn 2.69, 2 Cd 2.76
8 As 0.3555 0.3555 0.6946  1 Sn 2.69, 3 Cd 2.71-2.73
9 As 0.6438 0.6438 0.3118  2 Sn 2.77, 2 Cd 2.86-3.10
10 As 0.8748 0.8748 0.2051  4 Cd 2.63-2.88

## Properties
energy of formation = -311 meV per atom
uncorrected energy = -0.1130 Ha/atom
V = 29.3 Å³/atom
symmetry = Cm, No. 8

***

Record 2
## LaCd3As3 (GGA-PBE)

Data for LaCd3As3 after structural relaxation.

a = 4.4875 Å, b = 21.7164 Å, c = 4.4878 Å
α = 90.00°, β = 119.87°, γ = 90.00°
Last column: nearest neighbours and their distance in Å.
Element x y z (fractional)
1 La 0.0000 0.2501 0.0000  6 As 3.09
2 La 0.0000 0.7499 0.0000  6 As 3.09
3 Cd 0.3329 0.1248 0.6660  4 As 2.72-2.80
4 Cd 0.3329 0.8752 0.6660  4 As 2.72-2.80
5 Cd 0.3659 0.5000 0.6403  3 As 2.58-2.61
6 Cd 0.6401 0.0000 0.2749  3 As 2.58-2.60
7 Cd 0.6685 0.3754 0.3348  4 As 2.72-2.80
8 Cd 0.6685 0.6246 0.3348  4 As 2.72-2.80
9 As 0.3041 0.0000 0.6058  5 Cd 2.58-2.72
10 As 0.3346 0.3275 0.6675  3 Cd 2.79-2.80, 3 La 3.09
11 As 0.3346 0.6725 0.6675  3 Cd 2.79-2.80, 3 La 3.09
12 As 0.6663 0.1728 0.3327  3 Cd 2.79-2.80, 3 La 3.09
13 As 0.6663 0.8272 0.3327  3 Cd 2.79-2.80, 3 La 3.09
14 As 0.7015 0.5000 0.3041  5 Cd 2.58-2.72

## Properties
energy of formation = -534 meV per atom
uncorrected energy = -0.1335 Ha/atom
V = 27.1 Å³/atom
symmetry = Pm, No. 6

***

Record 3
## La2CdAs2O (GGA-PBE)

Data for La2CdAs2O after structural relaxation.

a = 3.5189 Å, b = 3.5189 Å, c = 15.2927 Å
α = 90.00°, β = 90.00°, γ = 90.00°
Last column: nearest neighbours and their distance in Å.
Element x y z (fractional)
1 La 0.0000 0.0000 0.1369  1 O 2.09
2 La 0.0000 0.0000 0.8631  1 O 2.09
3 Cd 0.0000 0.0000 0.5000  2 As 2.51
4 As 0.0000 0.0000 0.3357  1 Cd 2.51
5 As 0.0000 0.0000 0.6643  1 Cd 2.51
6 O 0.0000 0.0000 0.0000  2 La 2.09

## Properties
energy of formation = -527 meV per atom
uncorrected energy = -0.1687 Ha/atom
V = 31.6 Å³/atom
symmetry = P4/mmm, No. 123

***

Record 4
## NaCdAs (GGA-PBE)

Data for NaCdAs after structural relaxation.

a = 7.6495 Å, b = 4.5189 Å, c = 8.1790 Å
α = 90.00°, β = 90.00°, γ = 90.00°
Last column: nearest neighbours and their distance in Å.
Element x y z (fractional)
1 Na 0.0185 0.2500 0.1735  5 As 3.05-3.27, 2 Cd 3.32
2 Na 0.4815 0.7500 0.6735  5 As 3.05-3.27, 2 Cd 3.32
3 Na 0.5185 0.2500 0.3265  5 As 3.05-3.27, 2 Cd 3.32
4 Na 0.9815 0.7500 0.8265  5 As 3.05-3.27, 2 Cd 3.32
5 Cd 0.1500 0.2500 0.5744  4 As 2.77-2.86
6 Cd 0.3500 0.7500 0.0744  4 As 2.77-2.86
7 Cd 0.6500 0.2500 0.9256  4 As 2.77-2.86
8 Cd 0.8500 0.7500 0.4256  4 As 2.77-2.86
9 As 0.2215 0.7500 0.3908  4 Cd 2.77-2.86, 1 Na 3.05
10 As 0.2785 0.2500 0.8908  4 Cd 2.77-2.86, 1 Na 3.05
11 As 0.7215 0.7500 0.1092  4 Cd 2.77-2.86, 1 Na 3.05
12 As 0.7785 0.2500 0.6092  4 Cd 2.77-2.86, 1 Na 3.05

## Properties
energy of formation = -378 meV per atom
uncorrected energy = -0.0985 Ha/atom
V = 23.6 Å³/atom
symmetry = Pnma, No. 62